VASP calculation (PBE-GGA) on a relaxed ScFeSi2 crystal.

M_tot = 0.62 μB per formula unit

Unit cell a=9.7679 b=9.7679 c=14.2276 alpha=90.00 beta=90.00 gamma=149.95
Fractional positions:
Sc  0.0329  0.9671  0.8231
Sc  0.1230  0.8770  0.0846
Sc  0.2039  0.7961  0.3189
Sc  0.2961  0.7039  0.8189
Sc  0.3770  0.6230  0.5846
Sc  0.4671  0.5329  0.3231
Sc  0.5329  0.4671  0.6769
Sc  0.6230  0.3770  0.4154
Sc  0.7039  0.2961  0.1811
Sc  0.7961  0.2039  0.6811
Sc  0.8770  0.1230  0.9154
Sc  0.9671  0.0329  0.1769
Fe  0.0000  0.5000  0.0000
Fe  0.0000  0.5000  0.5000
Fe  0.0409  0.9591  0.3768
Fe  0.0888  0.4112  0.2500
Fe  0.4112  0.0888  0.7500
Fe  0.4591  0.5409  0.8768
Fe  0.5000  0.0000  0.0000
Fe  0.5000  0.0000  0.5000
Fe  0.5409  0.4591  0.1232
Fe  0.5888  0.9112  0.2500
Fe  0.9112  0.5888  0.7500
Fe  0.9591  0.0409  0.6232
Si  0.0870  0.9130  0.6436
Si  0.1401  0.8599  0.4924
Si  0.1642  0.3358  0.7500
Si  0.1671  0.8329  0.8993
Si  0.2356  0.7644  0.6433
Si  0.2467  0.2467  0.0000
Si  0.2533  0.2533  0.5000
Si  0.2644  0.7356  0.1433
Si  0.3329  0.6671  0.3993
Si  0.3358  0.1642  0.2500
Si  0.3599  0.6401  0.9924
Si  0.4130  0.5870  0.1436
Si  0.5870  0.4130  0.8564
Si  0.6401  0.3599  0.0076
Si  0.6642  0.8358  0.7500
Si  0.6671  0.3329  0.6007
Si  0.7356  0.2644  0.8567
Si  0.7467  0.7467  0.5000
Si  0.7533  0.7533  0.0000
Si  0.7644  0.2356  0.3567
Si  0.8329  0.1671  0.1007
Si  0.8358  0.6642  0.2500
Si  0.8599  0.1401  0.5076
Si  0.9130  0.0870  0.3564



VASP calculation (PBE-GGA) on a relaxed Sc2FeSi2 crystal.

Unit cell a=5.3267 b=5.3267 c=9.4069 alpha=116.32 beta=116.32 gamma=43.91
Fractional positions:
Sc  0.0008  0.0008  0.1722
Sc  0.1850  0.1850  0.6080
Sc  0.8150  0.8150  0.3920
Sc  0.9992  0.9992  0.8278
Fe  0.2706  0.2706  0.1266
Fe  0.7294  0.7294  0.8734
Si  0.3536  0.3536  0.9349
Si  0.4931  0.4931  0.6260
Si  0.5069  0.5069  0.3740
Si  0.6464  0.6464  0.0651



VASP calculation (PBE-GGA) on a relaxed ScFeSi2 crystal.

M_tot = 0.00 μB per formula unit

Unit cell a=8.9457 b=9.7478 c=7.7693 alpha=90.00 beta=90.00 gamma=90.00
Fractional positions:
Sc  0.1698  0.1779  0.0000
Sc  0.1751  0.4511  0.2471
Sc  0.1751  0.4511  0.7529
Sc  0.3249  0.9511  0.2471
Sc  0.3249  0.9511  0.7529
Sc  0.3302  0.6779  0.0000
Sc  0.6698  0.3221  0.0000
Sc  0.6751  0.0489  0.2471
Sc  0.6751  0.0489  0.7529
Sc  0.8249  0.5489  0.2471
Sc  0.8249  0.5489  0.7529
Sc  0.8302  0.8221  0.0000
Fe  0.0000  0.0000  0.2471
Fe  0.0000  0.0000  0.7529
Fe  0.0853  0.7410  0.2485
Fe  0.0853  0.7410  0.7515
Fe  0.4147  0.2410  0.2485
Fe  0.4147  0.2410  0.7515
Fe  0.5000  0.5000  0.2471
Fe  0.5000  0.5000  0.7529
Fe  0.5853  0.7590  0.2485
Fe  0.5853  0.7590  0.7515
Fe  0.9147  0.2590  0.2485
Fe  0.9147  0.2590  0.7515
Si  0.0363  0.6209  0.0000
Si  0.0401  0.6272  0.5000
Si  0.1062  0.8978  0.5000
Si  0.1208  0.8942  0.0000
Si  0.1606  0.1785  0.3466
Si  0.1606  0.1785  0.6534
Si  0.3394  0.6785  0.3466
Si  0.3394  0.6785  0.6534
Si  0.3792  0.3942  0.0000
Si  0.3938  0.3978  0.5000
Si  0.4599  0.1272  0.5000
Si  0.4637  0.1209  0.0000
Si  0.5363  0.8791  0.0000
Si  0.5401  0.8728  0.5000
Si  0.6062  0.6022  0.5000
Si  0.6208  0.6058  0.0000
Si  0.6606  0.3215  0.3466
Si  0.6606  0.3215  0.6534
Si  0.8394  0.8215  0.3466
Si  0.8394  0.8215  0.6534
Si  0.8792  0.1058  0.0000
Si  0.8938  0.1022  0.5000
Si  0.9599  0.3728  0.5000
Si  0.9637  0.3791  0.0000



VASP calculation (PBE-GGA) on a relaxed Sc3Fe2Si6 crystal.

M_tot = 0.24 μB per formula unit

Unit cell a=9.5586 b=9.5586 c=14.4280 alpha=90.00 beta=90.00 gamma=149.24
Fractional positions:
Sc  0.0346  0.9654  0.8228
Sc  0.1248  0.8752  0.0900
Sc  0.2108  0.7892  0.3192
Sc  0.2892  0.7108  0.8192
Sc  0.3752  0.6248  0.5900
Sc  0.4654  0.5346  0.3228
Sc  0.5346  0.4654  0.6772
Sc  0.6248  0.3752  0.4100
Sc  0.7108  0.2892  0.1808
Sc  0.7892  0.2108  0.6808
Sc  0.8752  0.1248  0.9100
Sc  0.9654  0.0346  0.1772
Fe  0.0000  0.5000  0.0000
Fe  0.0000  0.5000  0.5000
Fe  0.0443  0.9557  0.3785
Fe  0.4557  0.5443  0.8785
Fe  0.5000  0.0000  0.0000
Fe  0.5000  0.0000  0.5000
Fe  0.5443  0.4557  0.1215
Fe  0.9557  0.0443  0.6215
Si  0.0874  0.9126  0.6438
Si  0.1414  0.8586  0.4903
Si  0.1620  0.3380  0.7500
Si  0.1634  0.8366  0.9132
Si  0.2270  0.7730  0.6353
Si  0.2489  0.2489  0.0000
Si  0.2511  0.2511  0.5000
Si  0.2730  0.7270  0.1353
Si  0.3366  0.6634  0.4132
Si  0.3380  0.1620  0.2500
Si  0.3586  0.6414  0.9903
Si  0.4126  0.5874  0.1438
Si  0.5874  0.4126  0.8562
Si  0.6414  0.3586  0.0097
Si  0.6620  0.8380  0.7500
Si  0.6634  0.3366  0.5868
Si  0.7270  0.2730  0.8647
Si  0.7489  0.7489  0.5000
Si  0.7511  0.7511  0.0000
Si  0.7730  0.2270  0.3647
Si  0.8366  0.1634  0.0868
Si  0.8380  0.6620  0.2500
Si  0.8586  0.1414  0.5097
Si  0.9126  0.0874  0.3562



VASP calculation (PBE-GGA) on a relaxed Sc3Fe2Si3 crystal.

Unit cell a=5.3418 b=5.3418 c=12.8957 alpha=90.00 beta=90.00 gamma=136.64
Fractional positions:
Sc  0.0805  0.9195  0.6127
Sc  0.0805  0.9195  0.8873
Sc  0.3611  0.6389  0.7500
Sc  0.6389  0.3611  0.2500
Sc  0.9195  0.0805  0.1127
Sc  0.9195  0.0805  0.3873
Fe  0.2143  0.7857  0.0821
Fe  0.2143  0.7857  0.4179
Fe  0.7857  0.2143  0.5821
Fe  0.7857  0.2143  0.9179
Si  0.3286  0.6714  0.2500
Si  0.3831  0.6169  0.5406
Si  0.3831  0.6169  0.9594
Si  0.6169  0.3831  0.0406
Si  0.6169  0.3831  0.4594
Si  0.6714  0.3286  0.7500



VASP calculation (PBE-GGA) on a relaxed ScFeSi crystal.

M_tot = 0.10 μB per formula unit

Unit cell a=6.5351 b=4.0542 c=6.6640 alpha=90.00 beta=90.00 gamma=90.00
Fractional positions:
Sc  0.0126  0.2500  0.1913
Sc  0.4874  0.7500  0.6913
Sc  0.5126  0.2500  0.3087
Sc  0.9874  0.7500  0.8087
Fe  0.1535  0.7500  0.4378
Fe  0.3465  0.2500  0.9378
Fe  0.6535  0.7500  0.0622
Fe  0.8465  0.2500  0.5622
Si  0.2008  0.2500  0.6077
Si  0.2992  0.7500  0.1077
Si  0.7008  0.2500  0.8923
Si  0.7992  0.7500  0.3923



| no. | energy of formation from the pure elements (kJ/mol of atoms) |
| --- | --- |
| 1 | -62 |
| 2 | -72 |
| 3 | -62 |
| 4 | -48 |
| 5 | -70 |
| 6 | -64 |